A relaxed structure of Li3Co4O8. Source: the Materials Project, functional GGA+U.

a b c (Å): 5.8713 5.8713 5.2066
angles (deg): 106.71 106.71 60.16
With the nearest neighbours (Å) after each atom.
Atoms (fractional coordinates):
Li  0.0000  0.0000  0.0000  6 O 2.15-2.17
Li  0.0000  0.5000  0.0000  6 O 2.13-2.20
Li  0.5000  0.0000  0.0000  6 O 2.13-2.20
Co  0.2526  0.7474  0.5000  6 O 2.01-2.06
Co  0.2558  0.2558  0.5207  6 O 1.97-2.01
Co  0.7442  0.7442  0.4793  6 O 1.97-2.01
Co  0.7474  0.2526  0.5000  6 O 2.01-2.06
O  0.1051  0.6283  0.7128  3 Co 1.97-2.02, 2 Li 2.17-2.20
O  0.1231  0.1231  0.7348  3 Co 2.01-2.06, 3 Li 2.13-2.15
O  0.3717  0.8949  0.2872  3 Co 1.97-2.02, 2 Li 2.17-2.20
O  0.3745  0.3745  0.2865  3 Co 1.98-2.01, 2 Li 2.18
O  0.6255  0.6255  0.7135  3 Co 1.98-2.01, 2 Li 2.18
O  0.6283  0.1051  0.7128  3 Co 1.97-2.02, 2 Li 2.17-2.20
O  0.8769  0.8769  0.2652  3 Co 2.01-2.06, 3 Li 2.13-2.15
O  0.8949  0.3717  0.2872  3 Co 1.97-2.02, 2 Li 2.17-2.20

Calculated values
The energy relative to the lowest polymorph listed for this composition is 54 meV/atom. The value obtained for the formation energy is -35.39 kcal/mol of atoms. The calculated total energy comes out at -84.72 eV/f.u. As for the MP2020-corrected energy: -6.451 eV per atom.

A relaxed structure of Li2CoO2. Source: the Materials Project, functional GGA+U.

a b c (Å): 3.1530 3.1530 5.1243
angles (deg): 90.00 90.00 120.00
With the nearest neighbours (Å) after each atom.
Atoms (fractional coordinates):
Li  0.3333  0.6667  0.1425  4 O 1.92-2.08
Li  0.6667  0.3333  0.8575  4 O 1.92-2.08
Co  0.0000  0.0000  0.5000  6 O 2.19
O  0.3333  0.6667  0.7371  4 Li 1.92-2.08
O  0.6667  0.3333  0.2629  4 Li 1.92-2.08

Calculated values
The energy relative to the lowest polymorph listed for this composition is 0 meV/atom. The value obtained for the formation energy is -40.19 kcal/mol of atoms. The calculated total energy comes out at -26.52 eV/f.u. As for the MP2020-corrected energy: -5.907 eV per atom.